[1]
Sb2HCSCl6O5F3: relaxed, GGA-PBE.

abc: 10.0218 9.6248 18.2217
angles: 72.24 90.00 90.00
With the nearest neighbours (Å) after each atom.
Fractional positions:
Sb 0.7191 0.2239 0.5399  2 O 1.98-2.11
Sb 0.7809 0.2239 0.0399  2 O 1.98-2.11
Sb 0.2809 0.7761 0.4601  2 O 1.98-2.11
Sb 0.2191 0.7761 0.9601  2 O 1.98-2.11
Sb 0.9529 0.1430 0.6679  2 O 1.98-2.13
Sb 0.5471 0.1430 0.1679  2 O 1.98-2.13
Sb 0.0471 0.8570 0.3321  2 O 1.98-2.13
Sb 0.4529 0.8570 0.8321  2 O 1.98-2.13
H 0.9917 0.2693 0.5060  1 O 1.00
H 0.5083 0.2693 0.0060  1 O 1.00
H 0.0083 0.7307 0.4940  1 O 1.00
H 0.4917 0.7307 0.9940  1 O 1.00
C 0.7137 0.5319 0.6795  3 F 1.34-1.35
C 0.7863 0.5319 0.1795  3 F 1.34-1.35
C 0.2863 0.4681 0.3205  3 F 1.34-1.35
C 0.2137 0.4681 0.8205  3 F 1.34-1.35
S 0.8368 0.5032 0.6069  3 O 1.44-1.49
S 0.6632 0.5032 0.1069  3 O 1.44-1.49
S 0.1632 0.4968 0.3931  3 O 1.44-1.49
S 0.3368 0.4968 0.8931  3 O 1.44-1.49
Cl 0.9365 0.1165 0.7989  1 Sb 2.33
Cl 0.5635 0.1165 0.2989  1 Sb 2.33
Cl 0.0635 0.8835 0.2011  1 Sb 2.33
Cl 0.4365 0.8835 0.7011  1 Sb 2.33
Cl 0.7367 0.3577 0.4095  1 Sb 2.34
Cl 0.7633 0.3577 0.9095  1 Sb 2.34
Cl 0.2633 0.6423 0.5905  1 Sb 2.34
Cl 0.2367 0.6423 0.0905  1 Sb 2.34
Cl 0.1780 0.2080 0.6513  1 Sb 2.34
Cl 0.3220 0.2080 0.1513  1 Sb 2.34
Cl 0.8220 0.7920 0.3487  1 Sb 2.34
Cl 0.6780 0.7920 0.8487  1 Sb 2.34
Cl 0.6957 0.9972 0.5199  1 Sb 2.33
Cl 0.8043 0.9972 0.0199  1 Sb 2.33
Cl 0.3043 0.0028 0.4801  1 Sb 2.33
Cl 0.1957 0.0028 0.9801  1 Sb 2.33
Cl 0.4945 0.2721 0.5562  1 Sb 2.34
Cl 0.0055 0.2721 0.0562  1 Sb 2.34
Cl 0.5055 0.7279 0.4438  1 Sb 2.34
Cl 0.9945 0.7279 0.9438  1 Sb 2.34
Cl 0.9831 0.8991 0.6757  1 Sb 2.33
Cl 0.5169 0.8991 0.1757  1 Sb 2.33
Cl 0.0169 0.1009 0.3243  1 Sb 2.33
Cl 0.4831 0.1009 0.8243  1 Sb 2.33
O 0.7574 0.1518 0.6517  2 Sb 1.98
O 0.7426 0.1518 0.1517  2 Sb 1.98
O 0.2426 0.8482 0.3483  2 Sb 1.98
O 0.2574 0.8482 0.8483  2 Sb 1.98
O 0.9292 0.2107 0.5461  1 H 1.00
O 0.5708 0.2107 0.0461  1 H 1.00
O 0.0708 0.7893 0.4539  1 H 1.00
O 0.4292 0.7893 0.9539  1 H 1.00
O 0.7543 0.4503 0.5530  1 S 1.49
O 0.7457 0.4503 0.0530  1 S 1.49
O 0.2457 0.5497 0.4470  1 S 1.49
O 0.2543 0.5497 0.9470  1 S 1.49
O 0.9312 0.3910 0.6526  1 S 1.49
O 0.5688 0.3910 0.1526  1 S 1.49
O 0.0688 0.6090 0.3474  1 S 1.49
O 0.4312 0.6090 0.8474  1 S 1.49
O 0.8962 0.6442 0.5717  1 S 1.44
O 0.6038 0.6442 0.0717  1 S 1.44
O 0.1038 0.3558 0.4283  1 S 1.44
O 0.3962 0.3558 0.9283  1 S 1.44
F 0.6534 0.4048 0.7164  1 C 1.35
F 0.8466 0.4048 0.2164  1 C 1.35
F 0.3466 0.5952 0.2836  1 C 1.35
F 0.1534 0.5952 0.7836  1 C 1.35
F 0.6219 0.6302 0.6428  1 C 1.34
F 0.8781 0.6302 0.1428  1 C 1.34
F 0.3781 0.3698 0.3572  1 C 1.34
F 0.1219 0.3698 0.8572  1 C 1.34
F 0.7798 0.5815 0.7309  1 C 1.35
F 0.7202 0.5815 0.2309  1 C 1.35
F 0.2202 0.4185 0.2691  1 C 1.35
F 0.2798 0.4185 0.7691  1 C 1.35

Values from the calculation:
- Magnetic moment: 0.00 Bohr magnetons per cell
- Energy relative to the elements: -1.326 eV/atom
- MP2020-corrected energy: -4.83 eV per atom

***

[2]
Tb3AlN: relaxed, GGA-PBE.

abc: 4.8048 4.8048 4.8048
angles: 90.00 90.00 90.00
With the nearest neighbours (Å) after each atom.
Fractional positions:
Tb 0.5000 0.5000 0.0000  2 N 2.40
Tb 0.5000 0.0000 0.5000  2 N 2.40
Tb 0.0000 0.5000 0.5000  2 N 2.40
Al 0.0000 0.0000 0.0000  12 Tb 3.40
N 0.5000 0.5000 0.5000  6 Tb 2.40

Values from the calculation:
- Energy relative to the elements: -0.974 eV/atom
- MP2020-corrected energy: -6.17 eV per atom

***

[3]
KAl4Si2O12: relaxed, GGA-PBE.

abc: 5.4126 5.4126 20.6667
angles: 87.40 87.40 120.04
With the nearest neighbours (Å) after each atom.
Fractional positions:
K 0.0975 0.9025 0.7500  6 O 2.90-3.11
K 0.9025 0.0975 0.2500  6 O 2.90-3.11
Al 0.8125 0.2777 0.6368  4 O 1.74-1.78
Al 0.7223 0.1875 0.8632  4 O 1.74-1.78
Al 0.1875 0.7223 0.3632  4 O 1.74-1.78
Al 0.2777 0.8125 0.1368  4 O 1.74-1.78
Al 0.7973 0.5844 0.5000  4 O 1.80-1.92
Al 0.4156 0.2027 0.0000  4 O 1.80-1.92
Al 0.2027 0.4156 0.5000  4 O 1.80-1.92
Al 0.5844 0.7973 0.0000  4 O 1.80-1.92
Si 0.4720 0.5920 0.6378  4 O 1.62-1.72
Si 0.4080 0.5280 0.8622  4 O 1.62-1.72
Si 0.5280 0.4080 0.3622  4 O 1.62-1.72
Si 0.5920 0.4720 0.1378  4 O 1.62-1.72
O 0.4946 0.5711 0.5552  1 Si 1.72, 2 Al 1.85-1.92
O 0.4289 0.5054 0.9448  1 Si 1.72, 2 Al 1.85-1.92
O 0.5054 0.4289 0.4448  1 Si 1.72, 2 Al 1.85-1.92
O 0.5711 0.4946 0.0552  1 Si 1.72, 2 Al 1.85-1.92
O 0.8899 0.3704 0.5516  3 Al 1.78-1.86
O 0.6296 0.1101 0.9484  3 Al 1.78-1.86
O 0.1101 0.6296 0.4484  3 Al 1.78-1.86
O 0.3704 0.8899 0.0516  3 Al 1.78-1.86
O 0.6842 0.4926 0.6671  1 Si 1.62, 1 Al 1.75
O 0.5074 0.3158 0.8329  1 Si 1.62, 1 Al 1.75
O 0.3158 0.5074 0.3329  1 Si 1.62, 1 Al 1.75
O 0.4926 0.6842 0.1671  1 Si 1.62, 1 Al 1.75
O 0.5648 0.9148 0.6541  1 Si 1.62, 1 Al 1.74
O 0.0852 0.4352 0.8459  1 Si 1.62, 1 Al 1.74
O 0.4352 0.0852 0.3459  1 Si 1.62, 1 Al 1.74
O 0.9148 0.5648 0.1541  1 Si 1.62, 1 Al 1.74
O 0.1444 0.3715 0.6660  1 Si 1.62, 1 Al 1.75
O 0.6285 0.8556 0.8340  1 Si 1.62, 1 Al 1.75
O 0.8556 0.6285 0.3340  1 Si 1.62, 1 Al 1.75
O 0.3715 0.1444 0.1660  1 Si 1.62, 1 Al 1.75
O 0.0640 0.9895 0.5275  1 O 1.39
O 0.0105 0.9360 0.9725  1 O 1.39
O 0.9360 0.0105 0.4725  1 O 1.39
O 0.9895 0.0640 0.0275  1 O 1.39

Values from the calculation:
- Magnetic moment: 2.00 Bohr magnetons per cell
- Energy relative to the elements: -2.705 eV/atom
- MP2020-corrected energy: -7.25 eV per atom

***

[4]
LiCr2S4: relaxed, GGA-PBE.

abc: 11.3598 3.4459 11.8716
angles: 90.00 90.00 90.00
With the nearest neighbours (Å) after each atom.
Fractional positions:
Li 0.1297 0.7500 0.4183  7 S 2.59-2.80
Li 0.8703 0.2500 0.5817  7 S 2.59-2.80
Li 0.3703 0.2500 0.9183  7 S 2.59-2.80
Li 0.6297 0.7500 0.0817  7 S 2.59-2.80
Cr 0.1103 0.2500 0.0802  6 S 2.35-2.51
Cr 0.8897 0.7500 0.9198  6 S 2.35-2.51
Cr 0.3897 0.7500 0.5802  6 S 2.35-2.51
Cr 0.6103 0.2500 0.4198  6 S 2.35-2.51
Cr 0.1441 0.2500 0.7038  6 S 2.33-2.47
Cr 0.8559 0.7500 0.2962  6 S 2.33-2.47
Cr 0.3559 0.7500 0.2038  6 S 2.33-2.47
Cr 0.6441 0.2500 0.7962  6 S 2.33-2.47
S 0.0349 0.7500 0.6236  2 Cr 2.33, 2 Li 2.59
S 0.9651 0.2500 0.3764  2 Cr 2.33, 2 Li 2.59
S 0.4651 0.2500 0.1236  2 Cr 2.33, 2 Li 2.59
S 0.5349 0.7500 0.8764  2 Cr 2.33, 2 Li 2.59
S 0.0322 0.2500 0.8822  4 Cr 2.41-2.51
S 0.9678 0.7500 0.1178  4 Cr 2.41-2.51
S 0.4678 0.7500 0.3822  4 Cr 2.41-2.51
S 0.5322 0.2500 0.6178  4 Cr 2.41-2.51
S 0.2165 0.2500 0.2524  3 Cr 2.37-2.41
S 0.7835 0.7500 0.7476  3 Cr 2.37-2.41
S 0.2835 0.7500 0.7524  3 Cr 2.37-2.41
S 0.7165 0.2500 0.2476  3 Cr 2.37-2.41
S 0.2421 0.7500 0.0317  3 Cr 2.35-2.42, 2 Li 2.63
S 0.7579 0.2500 0.9683  3 Cr 2.35-2.42, 2 Li 2.63
S 0.2579 0.2500 0.5317  3 Cr 2.35-2.42, 2 Li 2.63
S 0.7421 0.7500 0.4683  3 Cr 2.35-2.42, 2 Li 2.63

Values from the calculation:
- Magnetic moment: 20.00 Bohr magnetons per cell
- Energy relative to the elements: -1.036 eV/atom
- MP2020-corrected energy: -6.43 eV per atom
- Excess energy over the best structure of this formula in the dataset: 0.40 eV per formula unit

***

[5]
Cs2NiP2S6: relaxed, GGA-PBE.

abc: 12.9380 5.9456 9.5694
angles: 55.20 90.00 90.00
With the nearest neighbours (Å) after each atom.
Fractional positions:
Cs 0.6719 0.2959 0.9691  11 S 3.65-4.00, 1 P 3.96
Cs 0.3281 0.7041 0.0309  11 S 3.65-4.00, 1 P 3.96
Cs 0.8281 0.2959 0.4691  11 S 3.65-4.00, 1 P 3.96
Cs 0.1719 0.7041 0.5309  11 S 3.65-4.00, 1 P 3.96
Ni 0.0000 0.0000 0.0000  6 S 2.46-2.56
Ni 0.5000 0.0000 0.5000  6 S 2.46-2.56
P 0.9620 0.6666 0.8813  3 S 2.02-2.03, 1 P 2.22
P 0.0380 0.3334 0.1187  3 S 2.02-2.03, 1 P 2.22
P 0.5380 0.6666 0.3813  3 S 2.02-2.03, 1 P 2.22
P 0.4620 0.3334 0.6187  3 S 2.02-2.03, 1 P 2.22
S 0.4267 0.5284 0.7299  1 P 2.02
S 0.9267 0.4716 0.7701  1 P 2.02
S 0.0672 0.9754 0.7682  1 P 2.03
S 0.4328 0.9754 0.2682  1 P 2.03
S 0.5672 0.0246 0.7318  1 P 2.03
S 0.6544 0.7961 0.4618  1 P 2.03
S 0.1544 0.2039 0.0382  1 P 2.03
S 0.8456 0.7961 0.9618  1 P 2.03
S 0.5733 0.4716 0.2701  1 P 2.02
S 0.0733 0.5284 0.2299  1 P 2.02
S 0.9328 0.0246 0.2318  1 P 2.03
S 0.3456 0.2039 0.5382  1 P 2.03

Values from the calculation:
- Magnetic moment: 4.00 Bohr magnetons per cell
- Energy relative to the elements: -0.932 eV/atom
- MP2020-corrected energy: -4.86 eV per atom